Mo | the Materials Project database | PBE | relaxed; crystal system = monoclinic; energy above the lowest structure with this stoichiometry = 0.40 eV/f.u.; space-group type = No. 13; ΔH_f (0 K) = 0.399 eV per atom; calculated total energy = -10.447 eV/atom
1.0
9.6483 0.0000 0.0000
0.0000 3.0630 0.0000
-3.9638 0.0000 8.9660
Mo
16
Cartesian
-0.0852 0.7525 1.1313 Mo
-2.0670 2.3105 5.6143 Mo
-1.6981 0.7830 8.1393 Mo
0.2838 2.2800 3.6563 Mo
2.2260 0.7455 2.0559 Mo
0.2442 2.3175 6.5389 Mo
2.0202 0.7708 5.1673 Mo
4.0021 2.2922 0.6843 Mo
1.6825 0.7708 8.2818 Mo
3.6643 2.2922 3.7987 Mo
5.4404 0.7455 2.4271 Mo
3.4585 2.3175 6.9101 Mo
5.4007 0.7830 5.3097 Mo
7.3826 2.2800 0.8267 Mo
7.7516 0.7525 3.3517 Mo
5.7697 2.3105 7.8347 Mo